1.
The following is a DFT calculation (GGA+U) of a relaxed structure of MgFe6O6F6. Values from VASP.

Output
As for the formation energy: -2127 meV/atom. The calculation puts the total magnetization at 28.0 Bohr magnetons per cell. The calculation puts the total energy at -5.98 eV per atom. For the excess energy over the best structure of this formula in the dataset, the calculation gives 17 meV per atom.

Quantum ESPRESSO input file:
```
&SYSTEM
  ibrav = 0, nat = 19, ntyp = 4
/
ATOMIC_SPECIES
Mg 24.30 Mg.upf
Fe 55.84 Fe.upf
O 16.00 O.upf
F 19.00 F.upf
ATOMIC_POSITIONS crystal
Mg 0.976 0.008 0.515
Fe 0.803 0.610 0.678
Fe 0.637 0.327 0.337
Fe 0.338 0.698 0.640
Fe 0.198 0.379 0.379
Fe 0.506 0.985 0.995
Fe 0.002 0.992 0.011
O 0.686 0.052 0.642
O 0.367 0.427 0.491
O 0.302 0.995 0.349
O 0.636 0.628 0.039
O 0.993 0.252 0.671
O 0.022 0.725 0.342
F 0.349 0.400 0.982
F 0.318 0.917 0.861
F 0.928 0.277 0.209
F 0.614 0.600 0.526
F 0.061 0.725 0.798
F 0.679 0.085 0.130
CELL_PARAMETERS angstrom
-5.548 5.172 3.085
-0.349 4.832 -3.069
-5.106 0.371 -3.013
```

2.
The following is a DFT calculation (GGA+U) of a relaxed structure of NiAs2S6N6F18. Values from VASP.

Output
As for the formation energy: -1358 meV/atom. The calculation puts the total magnetization at 4.0 Bohr magnetons per cell. The calculation puts the total energy at -4.80 eV per atom.

Quantum ESPRESSO input file:
```
&SYSTEM
  ibrav = 0, nat = 66, ntyp = 5
/
ATOMIC_SPECIES
Ni 58.69 Ni.upf
As 74.92 As.upf
S 32.06 S.upf
N 14.01 N.upf
F 19.00 F.upf
ATOMIC_POSITIONS crystal
Ni 0.000 0.000 0.000
Ni 0.500 0.000 0.500
As 0.449 0.743 0.255
As 0.551 0.257 0.745
As 0.949 0.257 0.245
As 0.051 0.743 0.755
S 0.503 0.174 0.244
S 0.191 0.246 0.458
S 0.497 0.826 0.756
S 0.691 0.754 0.042
S 0.003 0.826 0.256
S 0.809 0.754 0.542
S 0.997 0.174 0.744
S 0.701 0.345 0.460
S 0.299 0.655 0.540
S 0.309 0.246 0.958
S 0.799 0.345 0.960
S 0.201 0.655 0.040
N 0.109 0.782 0.034
N 0.195 0.136 0.965
N 0.989 0.081 0.852
N 0.511 0.081 0.352
N 0.391 0.782 0.534
N 0.695 0.864 0.535
N 0.609 0.218 0.466
N 0.805 0.864 0.035
N 0.489 0.919 0.648
N 0.891 0.218 0.966
N 0.305 0.136 0.465
N 0.011 0.919 0.148
F 0.796 0.384 0.230
F 0.568 0.596 0.256
F 0.330 0.891 0.255
F 0.568 0.139 0.878
F 0.432 0.861 0.122
F 0.068 0.404 0.244
F 0.170 0.891 0.755
F 0.208 0.306 0.536
F 0.704 0.384 0.730
F 0.830 0.109 0.245
F 0.432 0.404 0.744
F 0.646 0.267 0.030
F 0.449 0.379 0.183
F 0.037 0.623 0.889
F 0.600 0.871 0.241
F 0.932 0.596 0.756
F 0.708 0.694 0.964
F 0.354 0.733 0.970
F 0.068 0.861 0.622
F 0.463 0.623 0.389
F 0.051 0.379 0.683
F 0.854 0.267 0.530
F 0.296 0.616 0.270
F 0.551 0.621 0.817
F 0.963 0.377 0.111
F 0.792 0.694 0.464
F 0.204 0.616 0.770
F 0.100 0.129 0.259
F 0.146 0.733 0.470
F 0.400 0.129 0.759
F 0.900 0.871 0.741
F 0.292 0.306 0.036
F 0.537 0.377 0.611
F 0.932 0.139 0.378
F 0.670 0.109 0.745
F 0.949 0.621 0.317
CELL_PARAMETERS angstrom
-6.299 5.355 3.968
-2.814 -7.342 5.443
6.030 -3.796 14.697
```

3.
The following is a DFT calculation (GGA+U) of a relaxed structure of CrO2. Values from VASP.

Output
As for the formation energy: -1863 meV/atom. The calculation puts the total magnetization at 4.0 Bohr magnetons per cell. The calculation puts the total energy at -7.26 eV per atom.

Quantum ESPRESSO input file:
```
&SYSTEM
  ibrav = 0, nat = 6, ntyp = 2
/
ATOMIC_SPECIES
Cr 52.00 Cr.upf
O 16.00 O.upf
ATOMIC_POSITIONS crystal
Cr 0.493 0.746 0.236
Cr 0.515 0.253 0.759
O 0.778 0.151 0.381
O 0.753 0.643 0.872
O 0.251 0.356 0.134
O 0.234 0.850 0.602
CELL_PARAMETERS angstrom
1.076 0.353 2.763
-9.148 1.526 1.746
-0.643 -2.664 -0.969
```